Computed, not measured: LiNiPO4 after structural relaxation at the GGA+U level of DFT.

## Properties
Its symmetry is Pc, No. 7. The value obtained for the energy above the most stable polymorph in this dataset is 71 meV per atom. Its crystal system is monoclinic. Its calculated total energy is -6.238 eV/atom. The MP2020-corrected energy comes out at -6.994 eV/atom.

Cell lengths 7.941, 5.354, 8.428 Å; angles 90.00, 103.82, 90.00 degrees
Fractional positions:
Li  0.000  0.150  0.000
Li  0.000  0.850  0.500
Li  0.464  0.341  0.290
Li  0.464  0.659  0.790
Ni  0.091  0.339  0.366
Ni  0.091  0.661  0.866
Ni  0.603  0.164  0.681
Ni  0.603  0.836  0.181
P  0.225  0.166  0.742
P  0.225  0.834  0.242
P  0.720  0.336  0.057
P  0.720  0.664  0.557
O  0.094  0.173  0.573
O  0.094  0.827  0.073
O  0.144  0.302  0.869
O  0.144  0.698  0.369
O  0.263  0.112  0.293
O  0.263  0.888  0.793
O  0.393  0.306  0.732
O  0.393  0.694  0.232
O  0.585  0.196  0.131
O  0.585  0.804  0.631
O  0.652  0.394  0.519
O  0.652  0.606  0.019
O  0.750  0.212  0.899
O  0.750  0.788  0.399
O  0.902  0.316  0.173
O  0.902  0.684  0.673